1.
24
Lattice="-1.1730 -0.3731 -2.7015 3.7126 -6.6596 0.5501 -7.6433 -3.4465 5.0108" Properties=species:S:1:pos:R:3 comment="Li7Mn4CoO12, relaxed, DFT GGA+U" sg="No. 1" formation_enthalpy_0k_ev_per_atom=-1.7858 total_magnetization_mub_per_fu=1.00 relative_energy_mev_per_atom=298 total_energy_ev_per_cell=-142.80 pbc="T T T"
Li -3.8156 -7.8392 2.1340
Li -0.7812 -5.0094 -0.9021
Li -4.3771 -5.3319 3.8249
Li -1.2080 -2.6687 0.6693
Li -5.9234 -3.3804 2.6649
Li 0.7846 -7.2053 0.1880
Li 0.4514 -2.4687 -1.6147
Mn -8.7437 -3.8650 2.3039
Mn 2.0147 -4.5183 -0.5302
Mn -0.9212 -7.3598 2.5096
Mn -2.5568 -5.2211 1.4352
Co -4.1745 -3.1382 0.3418
O -4.0276 -9.1010 3.8799
O -0.9130 -6.1949 0.9455
O -5.6161 -7.1076 2.7327
O -2.5584 -4.0625 -0.1488
O -6.0637 -4.3262 4.4448
O -2.9862 -1.6602 1.4623
O -2.5894 -6.3963 3.0125
O 0.5032 -3.6904 0.0311
O -4.1801 -4.2559 1.9268
O -1.1185 -1.2705 -0.9558
O -2.0787 -8.8702 1.3806
O 1.0138 -5.9416 -1.5561

---

2.
24
Lattice="0.2765 2.9199 0.6777 7.4073 -1.5931 -0.9905 -3.7098 2.8358 -9.0033" Properties=species:S:1:pos:R:3 comment="Li7Mn2Co3O12, relaxed, DFT GGA+U" sg="No. 1" formation_enthalpy_0k_ev_per_atom=-1.8335 total_magnetization_mub_per_fu=16.00 relative_energy_mev_per_atom=100 total_energy_ev_per_cell=-139.90 pbc="T T T"
Li 2.3915 3.4755 -6.7755
Li 1.5720 0.6897 -2.4905
Li 4.7725 1.9573 -7.3631
Li -0.2619 2.0725 -6.9460
Li -0.7895 2.1830 -1.9458
Li 4.2389 2.1044 -2.4287
Li 3.1748 1.3287 -4.9379
Mn 0.0013 0.0153 -0.0092
Mn 1.3174 2.7271 -9.4170
Co 2.6526 1.4165 0.1114
Co 5.7614 2.7270 -4.7928
Co 0.8692 2.8514 -4.4005
O 3.0149 2.3017 -8.4973
O 2.2932 2.4881 -3.4460
O -1.9907 2.4667 -8.1010
O 0.6675 3.8059 -7.9528
O -0.2415 1.0250 -3.6643
O 4.9608 0.9132 -4.0367
O 1.3845 1.7462 -5.8287
O 0.9180 1.8670 -0.8130
O 4.3424 3.0952 -5.7547
O -0.8202 3.2258 -5.2207
O 5.9919 1.7553 -1.2208
O 3.3212 0.2933 -1.3595